1.
Computed, not measured: Na14Hf8Si11SO48 after structural relaxation at the PBE level of DFT.

```
Na14Hf8Si11SO48
1.0
9.184 0.000 0.000
0.006 15.898 0.000
0.006 0.009 22.891
Na Hf Si S O
42 24 33 3 144
Direct
0.000 0.000 0.000
0.000 0.304 0.334
0.000 0.968 0.667
0.003 0.635 0.000
0.004 0.333 0.667
0.136 0.832 0.167
0.137 0.801 0.834
0.138 0.135 0.502
0.140 0.501 0.500
0.141 0.468 0.167
0.185 0.151 0.165
0.185 0.484 0.833
0.185 0.816 0.500
0.310 0.648 0.416
0.315 0.317 0.749
0.321 0.651 0.917
0.321 0.985 0.084
0.322 0.985 0.583
0.330 0.321 0.252
0.458 0.151 0.665
0.458 0.816 0.000
0.501 0.804 0.334
0.505 0.135 0.003
0.505 0.467 0.667
0.505 0.501 0.001
0.507 0.832 0.667
0.636 0.332 0.167
0.639 0.635 0.502
0.639 0.668 0.834
0.641 0.001 0.500
0.641 0.968 0.167
0.643 0.304 0.833
0.685 0.316 0.500
0.686 0.651 0.165
0.810 0.148 0.416
0.818 0.821 0.752
0.820 0.484 0.083
0.821 0.484 0.585
0.830 0.821 0.251
0.832 0.148 0.916
0.954 0.317 0.000
0.954 0.650 0.667
0.308 0.649 0.269
0.314 0.980 0.937
0.315 0.319 0.900
0.318 0.979 0.731
0.321 0.317 0.102
0.321 0.651 0.565
0.322 0.317 0.602
0.322 0.650 0.065
0.322 0.651 0.769
0.323 0.978 0.231
0.328 0.980 0.436
0.330 0.323 0.398
0.809 0.149 0.269
0.819 0.821 0.897
0.820 0.151 0.565
0.820 0.818 0.102
0.821 0.150 0.065
0.821 0.484 0.935
0.821 0.817 0.602
0.822 0.483 0.732
0.824 0.478 0.231
0.828 0.480 0.436
0.830 0.823 0.398
0.833 0.149 0.768
0.026 0.651 0.166
0.026 0.986 0.834
0.031 0.316 0.499
0.112 0.816 0.000
0.116 0.151 0.666
0.117 0.484 0.334
0.173 0.836 0.333
0.174 0.464 0.001
0.174 0.796 0.667
0.175 0.171 0.001
0.175 0.504 0.667
0.466 0.171 0.500
0.467 0.505 0.167
0.468 0.795 0.168
0.469 0.465 0.501
0.470 0.838 0.833
0.526 0.151 0.166
0.527 0.483 0.834
0.531 0.816 0.499
0.613 0.317 0.999
0.614 0.650 0.667
0.617 0.984 0.334
0.673 0.336 0.333
0.675 0.005 0.667
0.675 0.296 0.668
0.675 0.671 0.000
0.675 0.964 0.000
0.966 0.671 0.500
0.967 0.005 0.167
0.967 0.631 0.834
0.968 0.295 0.168
0.968 0.335 0.834
0.968 0.965 0.501
0.175 0.130 0.334
0.467 0.130 0.834
0.675 0.630 0.334
0.008 0.169 0.721
0.010 0.470 0.277
0.011 0.800 0.943
0.011 0.834 0.058
0.012 0.497 0.391
0.014 0.132 0.608
0.015 0.139 0.329
0.128 0.632 0.109
0.131 0.998 0.892
0.132 0.334 0.557
0.133 0.299 0.442
0.133 0.971 0.777
0.134 0.669 0.221
0.143 0.661 0.506
0.145 0.306 0.161
0.145 0.639 0.828
0.145 0.975 0.493
0.145 0.997 0.174
0.146 0.330 0.840
0.201 0.404 0.058
0.201 0.737 0.724
0.202 0.564 0.610
0.205 0.077 0.387
0.205 0.233 0.945
0.206 0.895 0.276
0.207 0.394 0.339
0.216 0.901 0.995
0.217 0.235 0.661
0.217 0.733 0.006
0.220 0.068 0.674
0.221 0.567 0.328
0.239 0.089 0.281
0.241 0.214 0.339
0.248 0.883 0.391
0.250 0.411 0.661
0.250 0.557 0.006
0.250 0.890 0.673
0.251 0.213 0.059
0.251 0.421 0.943
0.251 0.548 0.724
0.252 0.755 0.609
0.253 0.078 0.993
0.263 0.746 0.328
0.387 0.420 0.446
0.388 0.551 0.222
0.389 0.078 0.493
0.390 0.745 0.828
0.390 0.754 0.110
0.391 0.212 0.559
0.392 0.557 0.506
0.393 0.883 0.890
0.393 0.889 0.173
0.394 0.411 0.161
0.401 0.215 0.839
0.403 0.089 0.781
0.422 0.067 0.175
0.425 0.235 0.161
0.425 0.567 0.828
0.426 0.733 0.506
0.427 0.397 0.839
0.427 0.901 0.494
0.436 0.234 0.445
0.436 0.896 0.776
0.437 0.078 0.887
0.442 0.736 0.225
0.443 0.563 0.109
0.445 0.405 0.559
0.497 0.305 0.661
0.497 0.325 0.339
0.497 0.975 0.992
0.497 0.997 0.674
0.498 0.662 0.006
0.510 0.300 0.942
0.510 0.333 0.057
0.510 0.970 0.277
0.511 0.634 0.609
0.511 0.667 0.724
0.512 0.997 0.391
0.515 0.639 0.329
0.626 0.139 0.829
0.628 0.132 0.109
0.631 0.466 0.776
0.631 0.499 0.891
0.632 0.834 0.557
0.633 0.799 0.442
0.634 0.169 0.221
0.644 0.161 0.506
0.645 0.475 0.492
0.645 0.497 0.174
0.645 0.806 0.161
0.645 0.824 0.839
0.697 0.905 0.059
0.699 0.063 0.609
0.700 0.236 0.725
0.702 0.731 0.943
0.705 0.577 0.387
0.706 0.395 0.276
0.707 0.894 0.339
0.715 0.401 0.994
0.716 0.233 0.006
0.716 0.566 0.673
0.716 0.735 0.661
0.721 0.067 0.328
0.739 0.589 0.281
0.741 0.714 0.339
0.748 0.383 0.391
0.748 0.911 0.661
0.750 0.057 0.006
0.750 0.389 0.673
0.750 0.577 0.995
0.751 0.253 0.610
0.751 0.714 0.058
0.754 0.051 0.722
0.755 0.919 0.946
0.763 0.246 0.328
0.881 0.246 0.828
0.887 0.920 0.446
0.888 0.051 0.222
0.889 0.578 0.493
0.890 0.254 0.110
0.891 0.713 0.559
0.892 0.057 0.506
0.892 0.586 0.776
0.893 0.381 0.891
0.893 0.389 0.173
0.893 0.723 0.839
0.894 0.911 0.161
0.922 0.068 0.828
0.923 0.567 0.175
0.925 0.735 0.161
0.926 0.233 0.506
0.927 0.401 0.494
0.935 0.897 0.839
0.936 0.734 0.445
0.941 0.570 0.891
0.942 0.236 0.225
0.942 0.396 0.776
0.943 0.063 0.109
0.945 0.904 0.559
0.997 0.472 0.995
0.997 0.495 0.673
0.997 0.806 0.661
0.997 0.825 0.339
0.998 0.161 0.006
```

## Properties
space-group type = P1

---

2.
Computed, not measured: Na6Hf4Si5SO24 after structural relaxation at the PBE level of DFT.

```
Na6Hf4Si5SO24
1.0
9.136 0.000 0.000
-4.560 7.917 0.000
0.000 -0.043 22.786
Na Hf Si S O
18 12 15 3 72
Direct
0.000 0.000 0.000
0.000 0.680 0.581
0.291 0.327 0.419
0.308 0.696 0.666
0.320 0.355 0.917
0.338 0.663 0.335
0.343 0.031 0.830
0.612 0.662 0.833
0.619 0.304 0.329
0.643 0.002 0.248
0.644 0.001 0.750
0.646 0.643 0.499
0.678 0.334 0.668
0.940 0.330 0.170
0.951 0.968 0.666
0.954 0.657 0.083
0.979 0.032 0.333
0.983 0.305 0.833
0.299 0.330 0.564
0.310 0.333 0.768
0.314 0.325 0.269
0.323 0.337 0.063
0.643 0.989 0.602
0.650 0.996 0.397
0.654 0.997 0.897
0.661 0.008 0.102
0.968 0.653 0.935
0.971 0.673 0.230
0.979 0.667 0.731
0.992 0.676 0.435
0.017 0.334 0.667
0.024 0.038 0.164
0.271 0.668 0.833
0.271 0.956 0.331
0.313 0.042 0.666
0.349 0.702 0.499
0.604 0.622 0.665
0.608 0.331 0.167
0.645 0.704 0.999
0.683 0.371 0.831
0.685 0.664 0.336
0.944 0.999 0.499
0.946 0.299 0.000
0.980 0.378 0.331
0.982 0.959 0.834
0.314 0.625 0.166
0.356 0.000 0.000
0.646 0.292 0.500
0.006 0.853 0.169
0.013 0.504 0.386
0.014 0.873 0.892
0.097 0.296 0.726
0.110 0.160 0.222
0.126 0.300 0.005
0.132 0.164 0.503
0.134 0.136 0.106
0.143 0.635 0.887
0.144 0.370 0.612
0.146 0.854 0.671
0.147 0.874 0.388
0.148 0.147 0.828
0.148 0.357 0.326
0.156 0.632 0.170
0.160 0.678 0.495
0.184 0.850 0.996
0.186 0.830 0.276
0.190 0.700 0.773
0.281 0.137 0.612
0.289 0.144 0.325
0.291 0.514 0.115
0.293 0.501 0.828
0.337 0.153 0.004
0.339 0.550 0.220
0.346 0.156 0.726
0.351 0.523 0.503
0.441 0.817 0.558
0.442 0.982 0.051
0.454 0.021 0.945
0.457 0.838 0.840
0.462 0.794 0.159
0.462 0.985 0.340
0.468 0.800 0.442
0.481 0.516 0.005
0.483 0.026 0.659
0.485 0.537 0.722
0.494 0.311 0.503
0.495 0.502 0.326
0.497 0.355 0.827
0.500 0.315 0.227
0.510 0.357 0.111
0.519 0.504 0.607
0.621 0.791 0.939
0.624 0.160 0.161
0.624 0.812 0.660
0.628 0.191 0.446
0.661 0.183 0.840
0.664 0.208 0.553
0.666 0.830 0.054
0.666 0.834 0.339
0.765 0.626 0.394
0.775 0.499 0.887
0.793 0.646 0.671
0.798 0.462 0.496
0.802 0.452 0.773
0.803 0.493 0.170
0.811 0.190 0.339
0.812 0.702 0.280
0.812 0.978 0.839
0.825 0.978 0.557
0.826 0.705 0.996
0.828 0.205 0.058
0.829 0.168 0.659
0.835 0.025 0.161
0.850 0.178 0.942
0.851 0.022 0.440
0.941 0.817 0.496
0.947 0.459 0.272
0.948 0.840 0.776
0.967 0.487 0.996
0.999 0.503 0.671
```

## Properties
space-group type = P1

---

| no. | total DFT energy (no corrections) (eV/atom) | ΔE_f (eV per atom) |
| --- | --- | --- |
| 1 | -7.626 | -3.16 |
| 2 | -7.656 | -3.12 |